# 1
The following is a DFT calculation (meta-GGA r2SCAN) of an optimized crystal structure of Cs2Si2O5.

Geometry as POSCAR:
```
Cs2Si2O5
1.0
-5.257 2.562 -6.406
-7.672 -4.961 4.311
-11.303 7.860 12.419
Cs Si O
16 16 40
Cartesian
-6.105 0.863 -1.670
-11.113 4.043 6.270
-13.353 5.571 2.594
-14.381 1.787 8.138
-17.510 2.793 5.297
-4.091 -0.555 1.730
-16.792 8.233 6.823
-13.118 1.418 4.054
-20.140 6.015 8.594
-13.608 7.200 9.731
-18.126 4.598 11.994
-9.850 3.674 2.186
-10.878 -0.110 7.730
-10.623 -1.739 0.593
-7.439 -2.772 3.501
-6.721 2.668 5.027
-14.509 3.966 11.326
-14.685 5.089 6.047
-10.981 -2.345 4.560
-13.250 7.806 5.764
-9.722 1.495 -1.002
-6.222 3.099 1.379
-10.056 6.143 9.803
-14.175 -0.683 0.521
-8.115 4.128 -1.075
-16.116 1.333 11.399
-12.658 1.998 0.143
-7.923 0.508 1.533
-11.573 3.463 10.181
-9.546 0.372 4.277
-16.309 4.953 8.791
-18.009 2.361 8.945
-11.384 2.562 8.901
-8.382 -0.143 5.305
-14.379 5.122 12.387
-15.192 0.160 10.891
-8.926 1.054 0.359
-15.312 5.325 7.545
-9.852 0.338 -2.063
-10.780 -0.718 4.388
-7.062 3.584 0.060
-10.560 6.185 3.567
-11.310 5.074 9.941
-10.048 1.836 4.569
-12.847 2.899 1.423
-14.833 -0.348 1.989
-15.326 2.672 11.945
-15.850 5.604 5.019
-8.919 0.136 2.779
-12.921 0.386 0.383
-15.305 4.407 9.965
-7.049 -0.726 1.087
-11.145 2.118 -0.473
-4.853 2.418 0.778
-13.451 6.179 5.937
-18.216 2.666 14.315
-7.061 1.828 2.023
-9.039 5.300 -0.567
-17.169 1.877 10.264
-8.906 2.788 -1.621
-10.050 -2.769 5.843
-10.701 -3.204 3.268
-17.170 3.632 8.301
-14.183 3.625 5.755
-9.399 5.809 8.335
-6.015 2.794 -3.991
-13.530 8.665 7.056
-17.182 6.187 9.237
-14.182 8.229 4.481
-13.086 3.342 10.797
-19.378 3.042 9.546
-13.671 -0.724 6.757
```

symmetry = P2_1/c
final energy = -13.5881 eV/atom

***

# 2
The following is a DFT calculation (meta-GGA r2SCAN) of an optimized crystal structure of Cs4U3Si4O17.

Geometry as POSCAR:
```
Cs4U3Si4O17
1.0
-0.557 -5.298 4.425
6.082 -2.563 2.097
1.761 4.853 10.726
U O Cs Si
3 17 4 4
Cartesian
2.763 -3.930 3.261
3.590 -2.798 6.952
3.696 -0.210 10.296
3.681 -1.113 14.153
2.009 2.920 9.162
4.143 -1.114 5.612
3.143 -1.894 11.636
3.007 -4.571 8.187
6.372 -0.004 13.210
3.489 -4.065 5.174
3.798 1.057 12.074
5.710 -3.458 7.239
5.277 -5.928 8.086
3.643 -1.504 8.624
3.605 -1.895 3.095
0.914 -3.004 4.038
4.280 1.564 9.061
1.576 0.450 10.009
5.799 -0.799 10.705
1.487 -2.209 6.543
0.963 -0.799 1.809
6.323 -2.209 15.439
5.438 -3.931 10.891
1.848 0.923 6.357
6.951 -0.670 11.846
4.237 -0.730 4.034
3.049 -2.278 13.214
0.335 -2.338 5.402
```

symmetry = C2/m
final energy = -20.1494 eV/atom

***

# 3
The following is a DFT calculation (meta-GGA r2SCAN) of an optimized crystal structure of Cs8Ta6O19.

Geometry as POSCAR:
```
Cs8Ta6O19
1.0
-4.985 4.985 7.007
4.985 -4.985 7.007
4.985 4.985 -7.007
Cs O Ta
8 19 6
Cartesian
2.152 5.818 2.091
0.833 2.833 9.098
2.833 -0.833 4.916
4.151 2.152 2.091
4.152 2.152 -2.092
0.833 2.833 4.916
2.833 -0.833 9.098
2.152 5.818 -2.091
4.985 4.985 2.841
3.230 5.869 5.047
1.755 -0.885 1.960
0.860 7.367 0.000
1.985 3.691 0.000
0.000 0.000 0.000
2.602 0.860 0.000
0.000 0.000 4.166
6.279 1.985 0.000
-0.885 8.214 1.960
-1.294 3.000 7.007
4.125 -2.383 7.007
3.000 1.294 7.007
5.869 -3.230 5.047
-3.230 4.100 5.047
2.383 4.125 7.007
4.100 3.230 5.047
0.885 1.755 1.960
8.215 0.885 1.960
1.048 2.134 0.000
3.936 2.851 7.007
7.836 1.048 0.000
-2.851 3.936 7.007
0.000 0.000 11.670
4.985 4.985 -4.663
```

symmetry = I4/m
final energy = -21.1261 eV/atom

***

# 4
The following is a DFT calculation (meta-GGA r2SCAN) of an optimized crystal structure of CsTcO4.

Geometry as POSCAR:
```
CsTcO4
1.0
-4.500 -3.115 -1.459
2.116 -0.448 -5.570
7.031 -11.858 3.625
O Cs Tc
16 4 4
Cartesian
1.683 -9.140 -0.228
-1.129 -7.053 -3.170
4.786 -8.158 2.371
4.454 -11.490 -0.485
2.964 -6.280 -3.176
0.051 -1.745 -4.648
-0.139 -7.263 -5.775
5.776 -8.367 -0.234
4.596 -13.675 1.244
6.217 -11.435 1.679
3.622 -6.680 0.311
1.025 -8.741 -3.715
1.183 -4.140 -5.524
-1.570 -3.985 -5.083
0.193 -3.931 -2.919
3.464 -11.280 2.120
0.777 -6.174 -0.811
1.302 -1.706 -0.971
3.870 -9.247 -2.593
3.345 -13.714 -2.433
4.680 -11.973 1.139
-0.033 -3.448 -4.543
4.059 -4.997 -2.863
0.588 -10.424 -0.541
```

symmetry = Pnma
final energy = -14.3950 eV/atom

***

# 5
The following is a DFT calculation (meta-GGA r2SCAN) of an optimized crystal structure of Cs2TeO4.

Geometry as POSCAR:
```
Cs2TeO4
1.0
6.681 0.000 0.000
0.000 8.538 0.000
0.000 0.000 11.700
Te O Cs
4 16 8
Cartesian
1.670 6.665 6.775
1.670 2.396 10.776
5.011 6.142 0.924
5.011 1.873 4.926
5.011 2.622 6.596
3.523 2.463 4.047
3.523 6.732 1.803
5.011 4.324 0.832
5.011 6.891 10.955
1.670 8.483 6.682
6.499 2.463 4.047
1.670 1.647 0.746
0.182 1.806 9.897
0.182 6.075 7.654
1.670 5.916 5.105
6.499 6.732 1.803
3.159 1.806 9.897
5.011 0.055 5.018
1.670 4.214 10.868
3.159 6.075 7.654
5.011 4.256 9.216
5.011 1.429 0.973
5.011 5.698 4.877
5.011 8.525 8.335
1.670 0.013 3.366
1.670 2.840 6.823
1.670 4.282 2.484
1.670 7.109 10.728
```

symmetry = Pnma
final energy = -15.7684 eV/atom

***

# 6
The following is a DFT calculation (meta-GGA r2SCAN) of an optimized crystal structure of Cs6Ti2O7.

Geometry as POSCAR:
```
Cs6Ti2O7
1.0
-6.054 7.620 2.384
-5.581 -3.515 -2.936
-7.270 -7.676 6.072
Cs O Ti
12 14 4
Cartesian
-8.361 0.357 4.973
-13.621 1.172 2.722
-4.372 2.523 0.835
-10.318 -6.448 3.472
-14.533 -6.094 4.686
-5.283 -4.743 2.798
-7.104 -2.079 0.602
-12.960 -9.300 3.104
-11.800 -1.491 4.919
-10.543 -3.928 0.548
-5.945 5.729 2.417
-8.587 2.878 2.049
-4.067 -2.464 1.196
-11.866 -1.041 1.063
-10.685 0.919 2.977
-5.005 -0.123 -0.327
-2.334 -0.038 1.001
-9.225 0.241 0.510
-16.570 -3.533 4.520
-14.838 -1.107 4.325
-9.680 -3.812 5.011
-13.899 -3.448 5.848
-2.790 -1.758 -1.468
-9.452 -1.785 2.760
-8.220 -4.490 2.544
-7.039 -2.529 4.458
-8.577 -3.169 3.730
-3.547 -1.087 0.144
-10.328 -0.402 1.791
-15.358 -2.484 5.377
```

symmetry = P2_1/c
final energy = -16.9406 eV/atom

***

# 7
The following is a DFT calculation (meta-GGA r2SCAN) of an optimized crystal structure of Cs2Ti4O9.

Geometry as POSCAR:
```
Cs2Ti4O9
1.0
-2.117 -1.016 -3.023
-0.675 10.315 -0.571
10.039 -3.183 -5.960
O Ti Cs
18 8 4
Cartesian
-0.145 5.010 -1.582
5.047 2.489 -6.794
0.382 5.111 -4.408
7.392 1.106 -7.971
5.297 4.625 -5.264
5.787 4.738 -8.068
-0.333 2.908 -3.167
3.679 6.277 -7.110
2.632 4.073 -5.635
3.568 -0.161 -2.443
9.183 -0.422 -6.288
6.865 1.005 -5.145
-1.936 6.538 -3.265
1.460 1.378 -1.485
1.950 1.491 -4.290
2.200 3.627 -2.759
4.615 2.043 -3.918
7.580 3.208 -6.386
1.418 3.389 -4.555
-1.041 4.895 -3.339
4.119 4.621 -6.861
0.651 2.957 -1.449
8.289 1.221 -6.214
3.128 1.495 -2.693
6.596 3.159 -8.104
5.829 2.726 -4.999
4.495 -0.673 -5.345
7.313 -2.879 -6.576
-0.066 8.995 -2.978
2.753 6.788 -4.208
```

symmetry = C2/m
final energy = -13.4643 eV/atom

***

# 8
The following is a DFT calculation (meta-GGA r2SCAN) of an optimized crystal structure of CsTi6O12.

Geometry as POSCAR:
```
CsTi6O12
1.0
-5.149 5.149 4.450
5.149 -5.149 4.450
5.149 5.149 -4.450
Ti O Cs
12 24 2
Cartesian
1.589 3.439 0.000
1.566 3.469 2.980
3.561 1.711 4.450
1.680 6.715 1.470
6.715 -1.680 1.470
-1.710 3.561 4.450
3.469 -1.565 2.980
-1.565 6.829 2.980
6.860 1.588 0.000
-1.680 3.584 1.470
6.829 1.565 2.980
3.584 1.680 1.470
0.378 6.848 0.000
3.018 6.756 0.000
5.532 1.729 1.490
-0.382 3.420 5.940
1.729 4.767 1.490
-0.382 3.420 2.960
2.987 6.791 2.982
1.729 4.767 -1.490
1.699 4.771 4.450
3.542 3.018 0.000
4.771 -1.699 4.450
-2.987 3.507 2.982
1.607 2.132 4.450
5.531 1.729 -1.490
3.450 0.378 0.000
6.791 -2.987 2.982
2.163 -1.642 1.468
3.507 2.987 2.982
1.642 2.163 1.468
2.132 -1.607 4.450
8.136 1.642 1.468
3.420 0.382 5.940
-1.642 8.136 1.468
3.420 0.382 2.960
0.000 0.000 2.607
0.000 0.000 6.293
```

symmetry = I4/m
final energy = -12.4085 eV/atom

***

# 9
The following is a DFT calculation (meta-GGA r2SCAN) of an optimized crystal structure of Cs2TiW3O12.

Geometry as POSCAR:
```
Cs2TiW3O12
1.0
6.272 -3.651 0.008
6.272 3.651 0.008
4.139 0.000 5.961
O Cs W Ti
12 2 3 1
Cartesian
13.101 0.000 1.884
4.921 -2.291 0.358
11.763 -2.291 5.620
9.148 2.300 1.867
7.536 -2.300 4.110
7.805 0.000 5.617
11.763 2.291 5.620
7.536 2.300 4.110
4.921 2.291 0.358
9.148 -2.300 1.867
3.583 0.000 4.094
8.879 0.000 0.361
10.496 0.000 3.761
6.188 0.000 2.217
2.070 0.000 2.981
3.136 1.825 0.004
3.136 -1.825 0.004
0.000 0.000 0.000
```

symmetry = R-3m
final energy = -18.6008 eV/atom

***

# 10
The following is a DFT calculation (meta-GGA r2SCAN) of an optimized crystal structure of CsTlO.

Geometry as POSCAR:
```
CsTlO
1.0
2.767 -3.207 -6.042
5.510 -3.499 -3.442
-1.299 -6.466 0.645
Cs Tl O
2 2 2
Cartesian
0.154 -5.060 -0.730
6.825 -8.112 -8.110
5.197 -5.264 -6.073
1.782 -7.908 -2.767
5.191 -10.192 -6.620
1.788 -2.980 -2.220
```

symmetry = C2/m
final energy = -29.1733 eV/atom

***

# 11
The following is a DFT calculation (meta-GGA r2SCAN) of an optimized crystal structure of CsTlO2.

Geometry as POSCAR:
```
CsTlO2
1.0
-2.366 -2.239 -1.430
0.115 0.453 3.526
-8.853 9.992 -0.996
Tl O Cs
2 4 2
Cartesian
-11.104 8.206 1.101
-4.427 4.996 -0.498
-1.473 0.415 1.789
-4.378 3.693 1.462
-6.727 4.513 -0.361
-9.631 7.791 -0.688
-7.352 7.050 1.127
-3.752 1.156 -0.027
```

symmetry = P6_3/mmc
final energy = -23.6177 eV/atom

***

# 12
The following is a DFT calculation (meta-GGA r2SCAN) of an optimized crystal structure of Cs3TlO3.

Geometry as POSCAR:
```
Cs3TlO3
1.0
6.229 4.029 0.006
-6.229 4.029 0.006
0.000 1.536 7.269
Cs Tl O
6 2 6
Cartesian
-3.785 4.029 0.006
0.000 4.245 6.137
3.785 4.029 0.006
3.037 4.797 3.641
0.000 5.349 1.144
-3.037 4.797 3.641
0.000 7.608 4.748
0.000 1.986 2.533
0.000 7.806 2.517
1.774 6.808 5.632
-1.774 6.808 5.632
0.000 1.789 4.764
-1.774 2.787 1.650
1.774 2.787 1.650
```

E above lowest polymorph = 11 meV/atom
symmetry = C2/m
final energy = -22.1233 eV/atom